Record 1
Computed, not measured: a geometry-optimized HfCrAgS4 structure at the PBE level of DFT.

a b c (Å): 12.055 3.611 12.375
angles (deg): 90.00 90.00 90.00
Space group Pnma (No. 62)
Asymmetric unit:
Hf (0.151, 0.250, 0.209) [4 per cell]
Cr (0.108, 0.250, 0.575) [4 per cell]
Ag (0.138, 0.750, 0.916) [4 per cell]
S (0.029, 0.250, 0.388) [4 per cell]
S (0.042, 0.750, 0.118) [4 per cell]
S (0.204, 0.250, 0.752) [4 per cell]
S (0.230, 0.750, 0.532) [4 per cell]

## Properties
E above lowest polymorph = 112 meV/atom

Record 2
Computed, not measured: a geometry-optimized Ga2GeMo8S16 structure at the PBE level of DFT.

a b c (Å): 6.928 6.928 11.686
angles (deg): 90.00 90.00 90.00
Space group P-4m2 (No. 115)
Asymmetric unit:
Ga (0.000, 0.500, 0.208) [2 per cell]
Ge (0.000, 0.000, 0.500) [1 per cell]
Mo (0.000, 0.295, 0.708) [4 per cell]
Mo (0.208, 0.500, 0.874) [4 per cell]
S (0.000, 0.225, 0.323) [4 per cell]
S (0.000, 0.234, 0.903) [4 per cell]
S (0.267, 0.500, 0.674) [4 per cell]
S (0.274, 0.500, 0.095) [4 per cell]

Record 3
Computed, not measured: a geometry-optimized DyCo2B2 structure at the PBE level of DFT.

a b c (Å): 3.550 3.550 9.388
angles (deg): 90.00 90.00 90.00
Space group I4/mmm (No. 139)
Asymmetric unit:
Dy (0.000, 0.000, 0.000) [2 per cell]
Co (0.000, 0.500, 0.250) [4 per cell]
B (0.000, 0.000, 0.349) [4 per cell]

Record 4
Computed, not measured: a geometry-optimized Ac2Mg structure at the PBE level of DFT.

a b c (Å): 4.105 4.105 13.756
angles (deg): 90.00 90.00 90.00
Space group I4/mmm (No. 139)
Asymmetric unit:
Ac (0.000, 0.000, 0.152) [4 per cell]
Mg (0.000, 0.000, 0.500) [2 per cell]

## Properties
E above lowest polymorph = 13 meV/atom

Record 5
Computed, not measured: a geometry-optimized Sc2PbSe4 structure at the PBE level of DFT.

a b c (Å): 12.354 3.943 14.403
angles (deg): 90.00 90.00 90.00
Space group Pnma (No. 62)
Asymmetric unit:
Sc (0.053, 0.250, 0.111) [4 per cell]
Sc (0.083, 0.250, 0.594) [4 per cell]
Pb (0.240, 0.250, 0.323) [4 per cell]
Se (0.034, 0.750, 0.715) [4 per cell]
Se (0.092, 0.250, 0.928) [4 per cell]
Se (0.123, 0.750, 0.469) [4 per cell]
Se (0.202, 0.750, 0.157) [4 per cell]

Record 6
Computed, not measured: a geometry-optimized Na6Ta3Ga5Si6S6O48 structure at the PBE level of DFT.

a b c (Å): 8.752 15.239 22.375
angles (deg): 90.03 90.34 90.35
Space group P1 (No. 1)
Asymmetric unit:
Na (0.000, 0.000, 0.000) [1 per cell]
Na (0.000, 0.006, 0.505) [1 per cell]
Na (0.000, 0.323, 0.333) [1 per cell]
Na (0.001, 0.338, 0.840) [1 per cell]
Na (0.001, 0.670, 0.161) [1 per cell]
Na (0.013, 0.662, 0.666) [1 per cell]
Na (0.139, 0.835, 0.592) [1 per cell]
Na (0.191, 0.147, 0.581) [1 per cell]
Na (0.307, 0.649, 0.084) [1 per cell]
Na (0.355, 0.335, 0.084) [1 per cell]
Na (0.504, 0.162, 0.167) [1 per cell]
Na (0.505, 0.505, 0.502) [1 per cell]
Na (0.509, 0.830, 0.832) [1 per cell]
Na (0.511, 0.502, 0.996) [1 per cell]
Na (0.517, 0.835, 0.335) [1 per cell]
Na (0.519, 0.153, 0.665) [1 per cell]
Na (0.640, 0.333, 0.585) [1 per cell]
Na (0.691, 0.654, 0.588) [1 per cell]
Ta (0.000, 0.002, 0.149) [1 per cell]
Ta (0.000, 0.670, 0.823) [1 per cell]
Ta (0.017, 0.335, 0.981) [1 per cell]
Ta (0.498, 0.833, 0.981) [1 per cell]
Ta (0.508, 0.173, 0.318) [1 per cell]
Ta (0.508, 0.832, 0.489) [1 per cell]
Ta (0.509, 0.172, 0.819) [1 per cell]
Ta (0.992, 0.329, 0.482) [1 per cell]
Ta (0.992, 0.674, 0.316) [1 per cell]
Ga (0.003, 0.003, 0.645) [1 per cell]
Ga (0.016, 0.668, 0.023) [1 per cell]
Ga (0.018, 0.323, 0.183) [1 per cell]
Ga (0.498, 0.500, 0.153) [1 per cell]
Ga (0.498, 0.835, 0.677) [1 per cell]
Ga (0.503, 0.175, 0.021) [1 per cell]
Ga (0.505, 0.164, 0.523) [1 per cell]
Ga (0.505, 0.504, 0.867) [1 per cell]
Ga (0.505, 0.508, 0.650) [1 per cell]
Ga (0.508, 0.836, 0.191) [1 per cell]
Ga (0.517, 0.503, 0.365) [1 per cell]
Ga (0.984, 0.000, 0.863) [1 per cell]
Ga (0.990, 0.663, 0.531) [1 per cell]
Ga (0.992, 0.016, 0.352) [1 per cell]
Ga (0.992, 0.339, 0.686) [1 per cell]
Si (0.140, 0.480, 0.096) [1 per cell]
Si (0.162, 0.187, 0.087) [1 per cell]
Si (0.211, 0.160, 0.424) [1 per cell]
Si (0.217, 0.834, 0.093) [1 per cell]
Si (0.292, 0.665, 0.924) [1 per cell]
Si (0.350, 0.686, 0.591) [1 per cell]
Si (0.365, 0.316, 0.923) [1 per cell]
Si (0.366, 0.984, 0.591) [1 per cell]
Si (0.636, 0.316, 0.426) [1 per cell]
Si (0.709, 0.669, 0.425) [1 per cell]
Si (0.793, 0.164, 0.928) [1 per cell]
Si (0.796, 0.836, 0.593) [1 per cell]
Si (0.848, 0.865, 0.257) [1 per cell]
Si (0.851, 0.189, 0.593) [1 per cell]
Si (0.858, 0.527, 0.927) [1 per cell]
Si (0.860, 0.479, 0.593) [1 per cell]
Si (0.863, 0.156, 0.253) [1 per cell]
Si (0.870, 0.815, 0.927) [1 per cell]
S (0.144, 0.147, 0.755) [1 per cell]
S (0.146, 0.815, 0.422) [1 per cell]
S (0.150, 0.526, 0.422) [1 per cell]
S (0.150, 0.860, 0.756) [1 per cell]
S (0.217, 0.499, 0.754) [1 per cell]
S (0.288, 0.339, 0.592) [1 per cell]
S (0.293, 0.999, 0.257) [1 per cell]
S (0.356, 0.025, 0.921) [1 per cell]
S (0.360, 0.362, 0.258) [1 per cell]
S (0.362, 0.644, 0.258) [1 per cell]
S (0.643, 0.982, 0.089) [1 per cell]
S (0.645, 0.648, 0.755) [1 per cell]
S (0.650, 0.023, 0.422) [1 per cell]
S (0.650, 0.359, 0.755) [1 per cell]
S (0.650, 0.691, 0.092) [1 per cell]
S (0.712, 0.999, 0.755) [1 per cell]
S (0.714, 0.337, 0.092) [1 per cell]
S (0.787, 0.501, 0.255) [1 per cell]
O (0.071, 0.432, 0.154) [1 per cell]
O (0.073, 0.577, 0.088) [1 per cell]
O (0.075, 0.092, 0.095) [1 per cell]
O (0.075, 0.770, 0.760) [1 per cell]
O (0.076, 0.437, 0.427) [1 per cell]
O (0.077, 0.235, 0.030) [1 per cell]
O (0.077, 0.900, 0.414) [1 per cell]
O (0.081, 0.568, 0.367) [1 per cell]
O (0.082, 0.104, 0.809) [1 per cell]
O (0.084, 0.238, 0.751) [1 per cell]
O (0.087, 0.899, 0.700) [1 per cell]
O (0.089, 0.773, 0.477) [1 per cell]
O (0.102, 0.075, 0.415) [1 per cell]
O (0.111, 0.748, 0.086) [1 per cell]
O (0.113, 0.914, 0.809) [1 per cell]
O (0.114, 0.255, 0.429) [1 per cell]
O (0.115, 0.756, 0.368) [1 per cell]
O (0.116, 0.579, 0.757) [1 per cell]
O (0.116, 0.923, 0.098) [1 per cell]
O (0.119, 0.097, 0.699) [1 per cell]
O (0.119, 0.413, 0.037) [1 per cell]
O (0.120, 0.418, 0.750) [1 per cell]
O (0.126, 0.579, 0.475) [1 per cell]
O (0.154, 0.250, 0.146) [1 per cell]
O (0.172, 0.682, 0.576) [1 per cell]
O (0.177, 0.318, 0.924) [1 per cell]
O (0.179, 0.989, 0.595) [1 per cell]
O (0.183, 0.687, 0.865) [1 per cell]
O (0.190, 0.651, 0.264) [1 per cell]
O (0.193, 0.323, 0.646) [1 per cell]
O (0.194, 0.012, 0.911) [1 per cell]
O (0.195, 0.352, 0.255) [1 per cell]
O (0.196, 0.351, 0.537) [1 per cell]
O (0.197, 0.014, 0.202) [1 per cell]
O (0.202, 0.987, 0.310) [1 per cell]
O (0.210, 0.652, 0.987) [1 per cell]
O (0.309, 0.151, 0.485) [1 per cell]
O (0.311, 0.510, 0.699) [1 per cell]
O (0.312, 0.491, 0.808) [1 per cell]
O (0.315, 0.515, 0.413) [1 per cell]
O (0.317, 0.849, 0.754) [1 per cell]
O (0.318, 0.821, 0.423) [1 per cell]
O (0.319, 0.154, 0.761) [1 per cell]
O (0.327, 0.173, 0.365) [1 per cell]
O (0.331, 0.817, 0.150) [1 per cell]
O (0.331, 0.848, 0.034) [1 per cell]
O (0.334, 0.488, 0.100) [1 per cell]
O (0.346, 0.176, 0.079) [1 per cell]
O (0.363, 0.750, 0.649) [1 per cell]
O (0.381, 0.075, 0.976) [1 per cell]
O (0.385, 0.595, 0.201) [1 per cell]
O (0.386, 0.260, 0.588) [1 per cell]
O (0.388, 0.417, 0.598) [1 per cell]
O (0.391, 0.917, 0.532) [1 per cell]
O (0.392, 0.081, 0.260) [1 per cell]
O (0.394, 0.923, 0.250) [1 per cell]
O (0.397, 0.249, 0.865) [1 per cell]
O (0.398, 0.758, 0.927) [1 per cell]
O (0.402, 0.416, 0.310) [1 per cell]
O (0.404, 0.586, 0.913) [1 per cell]
O (0.427, 0.598, 0.309) [1 per cell]
O (0.428, 0.066, 0.867) [1 per cell]
O (0.428, 0.733, 0.255) [1 per cell]
O (0.429, 0.396, 0.201) [1 per cell]
O (0.431, 0.083, 0.583) [1 per cell]
O (0.431, 0.277, 0.985) [1 per cell]
O (0.432, 0.271, 0.263) [1 per cell]
O (0.435, 0.410, 0.912) [1 per cell]
O (0.436, 0.937, 0.926) [1 per cell]
O (0.440, 0.593, 0.595) [1 per cell]
O (0.444, 0.943, 0.650) [1 per cell]
O (0.445, 0.734, 0.534) [1 per cell]
O (0.558, 0.410, 0.417) [1 per cell]
O (0.566, 0.937, 0.424) [1 per cell]
O (0.568, 0.604, 0.095) [1 per cell]
O (0.574, 0.271, 0.486) [1 per cell]
O (0.576, 0.266, 0.760) [1 per cell]
O (0.577, 0.736, 0.753) [1 per cell]
O (0.578, 0.069, 0.085) [1 per cell]
O (0.578, 0.734, 0.038) [1 per cell]
O (0.585, 0.601, 0.807) [1 per cell]
O (0.586, 0.394, 0.698) [1 per cell]
O (0.586, 0.940, 0.144) [1 per cell]
O (0.587, 0.067, 0.367) [1 per cell]
O (0.597, 0.587, 0.416) [1 per cell]
O (0.609, 0.080, 0.761) [1 per cell]
O (0.609, 0.761, 0.426) [1 per cell]
O (0.610, 0.259, 0.087) [1 per cell]
O (0.611, 0.410, 0.807) [1 per cell]
O (0.612, 0.417, 0.097) [1 per cell]
O (0.614, 0.252, 0.367) [1 per cell]
O (0.615, 0.920, 0.751) [1 per cell]
O (0.615, 0.928, 0.035) [1 per cell]
O (0.621, 0.598, 0.698) [1 per cell]
O (0.621, 0.743, 0.146) [1 per cell]
O (0.623, 0.074, 0.476) [1 per cell]
O (0.666, 0.846, 0.248) [1 per cell]
O (0.669, 0.184, 0.582) [1 per cell]
O (0.671, 0.158, 0.259) [1 per cell]
O (0.671, 0.481, 0.597) [1 per cell]
O (0.680, 0.514, 0.913) [1 per cell]
O (0.681, 0.176, 0.866) [1 per cell]
O (0.681, 0.828, 0.934) [1 per cell]
O (0.682, 0.144, 0.983) [1 per cell]
O (0.685, 0.852, 0.533) [1 per cell]
O (0.688, 0.808, 0.649) [1 per cell]
O (0.692, 0.493, 0.309) [1 per cell]
O (0.693, 0.519, 0.201) [1 per cell]
O (0.805, 0.016, 0.701) [1 per cell]
O (0.805, 0.326, 0.146) [1 per cell]
O (0.805, 0.991, 0.810) [1 per cell]
O (0.806, 0.349, 0.037) [1 per cell]
O (0.812, 0.656, 0.484) [1 per cell]
O (0.813, 0.681, 0.086) [1 per cell]
O (0.814, 0.009, 0.417) [1 per cell]
O (0.816, 0.987, 0.092) [1 per cell]
O (0.818, 0.345, 0.754) [1 per cell]
O (0.818, 0.657, 0.759) [1 per cell]
O (0.824, 0.680, 0.366) [1 per cell]
O (0.826, 0.325, 0.428) [1 per cell]
O (0.874, 0.253, 0.650) [1 per cell]
O (0.883, 0.258, 0.932) [1 per cell]
O (0.885, 0.425, 0.251) [1 per cell]
O (0.885, 0.587, 0.984) [1 per cell]
O (0.885, 0.752, 0.865) [1 per cell]
O (0.888, 0.920, 0.317) [1 per cell]
O (0.889, 0.584, 0.261) [1 per cell]
O (0.894, 0.414, 0.535) [1 per cell]
O (0.898, 0.089, 0.197) [1 per cell]
O (0.903, 0.922, 0.596) [1 per cell]
O (0.904, 0.752, 0.584) [1 per cell]
O (0.909, 0.084, 0.916) [1 per cell]
O (0.922, 0.578, 0.587) [1 per cell]
O (0.929, 0.906, 0.198) [1 per cell]
O (0.931, 0.254, 0.243) [1 per cell]
O (0.932, 0.764, 0.264) [1 per cell]
O (0.935, 0.117, 0.314) [1 per cell]
O (0.938, 0.235, 0.533) [1 per cell]
O (0.939, 0.442, 0.653) [1 per cell]
O (0.939, 0.572, 0.865) [1 per cell]
O (0.939, 0.770, 0.985) [1 per cell]
O (0.941, 0.431, 0.932) [1 per cell]
O (0.942, 0.097, 0.596) [1 per cell]
O (0.948, 0.909, 0.915) [1 per cell]

Record 7
Computed, not measured: a geometry-optimized GaHO2 structure at the PBE level of DFT.

a b c (Å): 7.099 9.698 7.731
angles (deg): 90.00 90.00 90.00
Space group Fdd2 (No. 43)
Asymmetric unit:
Ga (0.000, 0.000, 0.000) [8 per cell]
Ga (0.000, 0.000, 0.396) [8 per cell]
H (0.123, 0.210, 0.923) [16 per cell]
O (0.002, 0.365, 0.698) [16 per cell]
O (0.123, 0.136, 0.838) [16 per cell]

Record 8
Computed, not measured: a geometry-optimized Ca2N structure at the PBE level of DFT.

a b c (Å): 3.6091 3.6091 19.2371
angles (deg): 90.00 90.00 120.00
Space group R-3m (No. 166, hexagonal axes)
Asymmetric unit:
Ca (0.0000, 0.0000, 0.2319) [6 per cell]
N (0.0000, 0.0000, 0.5000) [3 per cell]

| no. | energy of formation from the pure elements (eV per atom) | total DFT energy (no corrections) (eV per cell) |
| --- | --- | --- |
| 1 | -1.12 | -179.29 |
| 2 | -0.90 | -179.88 |
| 3 | -0.57 | -70.02 |
| 4 | -0.02 | -19.79 |
| 5 | -1.63 | -159.49 |
| 6 | -2.49 | -1513.90 |
| 7 | -1.66 | -345.28 |
| 8 | -0.88 | -43.84 |